No. 1
## MgV8O16 (PBE with a Hubbard U)

Data for an optimized crystal structure of MgV8O16. Values from VASP.

```
&SYSTEM
  ibrav = 0, nat = 25, ntyp = 3
/
ATOMIC_SPECIES
O 16.00 O.upf
V 50.94 V.upf
Mg 24.30 Mg.upf
CELL_PARAMETERS angstrom
5.2023 0.1248 -0.0008
0.1391 5.8983 -0.0010
-0.0017 -0.0019 10.3813
ATOMIC_POSITIONS angstrom
O 4.4912 4.4826 1.0032
O 4.4431 1.5923 4.1212
V 2.6517 4.5214 0.2062
V 5.2616 3.0826 10.3380
O 4.4447 1.5941 1.0685
V 5.2626 3.0832 5.2322
O 1.7586 2.8724 1.1223
V 0.1642 5.8720 5.2305
O 3.4833 5.9755 9.4949
O 0.9116 1.5510 6.1391
V 2.6987 1.5485 5.2110
O 1.0462 4.3931 9.4542
O 3.4727 3.0870 9.5082
O 4.4901 4.4808 4.1846
O 1.7463 0.0876 1.1533
Mg 0.8377 1.5171 2.5951
O 1.7578 2.8704 4.0668
O 0.9096 1.5498 9.4321
O 1.7450 0.0862 4.0368
O 1.0482 4.3933 6.1162
O 3.4737 3.0874 6.0609
V 2.6509 4.5205 4.9803
O 3.4843 5.9766 6.0739
V 0.1627 5.8713 10.3391
V 2.6975 1.5475 10.3607
```

Values from the calculation:
The value obtained for the excess energy over the best structure of this formula in the dataset is 13.2 meV/atom. As for the space-group type: No. 6. The total energy comes out at -7.568 eV per atom.

No. 2
## MgVO2 (PBE with a Hubbard U)

Data for an optimized crystal structure of MgVO2. Values from VASP.

```
&SYSTEM
  ibrav = 0, nat = 16, ntyp = 3
/
ATOMIC_SPECIES
Mg 24.30 Mg.upf
O 16.00 O.upf
V 50.94 V.upf
CELL_PARAMETERS angstrom
-1.6873 -7.5868 3.5168
-0.1931 -8.4634 1.0525
6.3608 -6.7272 6.2497
ATOMIC_POSITIONS angstrom
Mg 3.9154 -5.3933 4.2925
O 1.6714 -8.0811 3.8881
V 0.8554 -14.6406 5.7267
Mg 0.5582 -12.2316 4.6895
O -0.7326 -13.7618 4.4512
O 3.3123 -19.9893 9.1190
Mg 3.9222 -10.5458 6.1295
V 3.6250 -8.1368 5.0924
Mg 0.5650 -17.3840 6.5265
O 5.2130 -9.0155 6.3678
O 2.3123 -5.0404 3.1950
O 1.1681 -2.7880 1.7000
V -0.9848 -10.3387 3.0806
O 2.1681 -17.7370 7.6241
V 5.4652 -12.4387 7.7384
O 2.8089 -14.6963 6.9309
```

Values from the calculation:
As for the space-group type: No. 12. The total energy comes out at -6.647 eV per atom.

No. 3
## MgV6O15 (PBE with a Hubbard U)

Data for an optimized crystal structure of MgV6O15. Values from VASP.

```
&SYSTEM
  ibrav = 0, nat = 22, ntyp = 3
/
ATOMIC_SPECIES
O 16.00 O.upf
V 50.94 V.upf
Mg 24.30 Mg.upf
CELL_PARAMETERS angstrom
7.4825 0.0038 -2.4067
-6.6084 3.5095 2.4067
-0.0425 0.0106 10.3106
ATOMIC_POSITIONS angstrom
O -4.0605 2.8756 11.3641
V -1.9095 2.3404 1.9642
O -3.1478 2.6485 7.2085
O -5.2863 3.1806 4.7212
O -0.4402 1.9749 2.6587
V 5.6840 0.4512 7.2520
V -5.0677 3.1262 3.0644
V 3.3194 1.0395 4.9573
O -1.5003 2.2386 10.2145
O 1.2696 1.5495 7.7940
O 4.9087 0.6441 -0.9367
O 2.3145 1.2895 0.1751
O 3.7319 0.9369 6.9470
O 5.9330 0.3893 5.6576
V 2.6898 1.1962 8.4508
Mg -6.4153 3.4614 6.4665
O -0.7966 2.0635 5.2110
O 7.4576 0.0100 -2.3855
V -2.4162 2.4665 5.3456
O -2.9059 2.5883 3.4293
O 4.0291 0.8629 3.1642
O 1.6631 1.4516 4.6751
```

Values from the calculation:
The value obtained for the excess energy over the best structure of this formula in the dataset is 16.9 meV/atom. As for the space-group type: No. 8. The total energy comes out at -7.358 eV per atom.

No. 4
## MgV5O12 (PBE with a Hubbard U)

Data for an optimized crystal structure of MgV5O12. Values from VASP.

```
&SYSTEM
  ibrav = 0, nat = 18, ntyp = 3
/
ATOMIC_SPECIES
V 50.94 V.upf
O 16.00 O.upf
Mg 24.30 Mg.upf
CELL_PARAMETERS angstrom
5.1251 -0.1186 -0.0567
2.1304 4.6133 -0.0817
-0.6350 0.7438 9.1325
ATOMIC_POSITIONS angstrom
V 0.1483 0.5903 2.4940
O 4.9871 1.6973 7.6351
V 0.8196 2.8693 8.6705
O 1.8349 3.5609 1.2594
V 2.1551 0.4384 4.8574
O 1.3731 1.7040 3.5248
V 3.9381 3.0541 6.6816
O 3.0258 4.6873 5.8460
O 3.0529 1.6798 5.6423
O 4.3723 2.0681 1.4362
O 3.3418 3.8605 3.2416
O 1.7331 0.9715 1.0536
O 2.3186 3.0346 7.9125
O 4.8055 4.0993 8.1999
O 5.1191 3.5067 5.4220
Mg 4.9831 3.9253 0.9718
O 3.6458 0.4751 3.1567
V 2.7831 2.2636 2.3146
```

Values from the calculation:
The value obtained for the excess energy over the best structure of this formula in the dataset is 78.8 meV/atom. As for the space-group type: No. 1. The total energy comes out at -7.364 eV per atom.

No. 5
## MgV8O16 (PBE with a Hubbard U)

Data for an optimized crystal structure of MgV8O16. Values from VASP.

```
&SYSTEM
  ibrav = 0, nat = 25, ntyp = 3
/
ATOMIC_SPECIES
V 50.94 V.upf
O 16.00 O.upf
Mg 24.30 Mg.upf
CELL_PARAMETERS angstrom
-3.0566 3.1260 -2.8720
-4.9010 -2.5707 2.0179
-0.3633 6.8929 7.8932
ATOMIC_POSITIONS angstrom
V -5.6971 5.1868 1.9845
O -6.3278 3.4450 2.1988
O -1.2996 3.8331 2.0946
O -1.1947 1.8337 -0.1944
O -3.5528 2.5537 3.0851
Mg -2.9282 2.6745 1.0107
O -3.8447 4.5939 1.3300
O -3.4488 0.5765 0.8212
O -4.3925 2.6140 5.5472
V -0.1859 3.3636 3.8417
O -4.7596 4.7882 3.7572
O -1.9605 3.8310 4.6900
O -4.5179 5.0024 8.2831
V -5.3214 2.9776 3.9070
V -5.1509 -0.2606 0.1996
O -4.8784 7.0519 6.3502
V -5.5252 1.9243 -1.7508
O -6.2227 1.4473 -0.0885
O -2.0807 6.1272 7.3205
V -3.0817 7.7191 6.7451
V -0.0131 0.0918 0.0962
O -3.7387 2.5767 -0.9793
V -2.9161 4.5703 3.1387
O -7.2145 5.7530 7.2809
O -7.1008 3.5839 4.7960
```

Values from the calculation:
The value obtained for the excess energy over the best structure of this formula in the dataset is 0.0 meV/atom. As for the space-group type: No. 6. The total energy comes out at -7.581 eV per atom.

No. 6
## MgV2O6 (PBE with a Hubbard U)

Data for an optimized crystal structure of MgV2O6. Values from VASP.

```
&SYSTEM
  ibrav = 0, nat = 9, ntyp = 3
/
ATOMIC_SPECIES
O 16.00 O.upf
V 50.94 V.upf
Mg 24.30 Mg.upf
CELL_PARAMETERS angstrom
1.7677 4.8837 0.0000
-1.7677 4.8837 0.0000
0.0000 1.9585 6.7782
ATOMIC_POSITIONS angstrom
O 0.0000 9.5316 1.7594
O 0.0000 4.8038 4.2238
O 0.0000 8.7614 6.2182
O 0.0000 6.9221 2.5544
V 0.0000 3.7746 5.5811
Mg 0.0000 0.9793 3.3891
O 0.0000 2.1943 5.0188
V 0.0000 7.9513 1.1971
O 0.0000 2.9644 0.5600
```

Values from the calculation:
The value obtained for the excess energy over the best structure of this formula in the dataset is 0.0 meV/atom. As for the space-group type: No. 12. The total energy comes out at -7.189 eV per atom.

Repeat the sixth record exactly.
## MgV2O6 (PBE with a Hubbard U)

Data for an optimized crystal structure of MgV2O6. Values from VASP.

```
&SYSTEM
  ibrav = 0, nat = 9, ntyp = 3
/
ATOMIC_SPECIES
O 16.00 O.upf
V 50.94 V.upf
Mg 24.30 Mg.upf
CELL_PARAMETERS angstrom
1.7677 4.8837 0.0000
-1.7677 4.8837 0.0000
0.0000 1.9585 6.7782
ATOMIC_POSITIONS angstrom
O 0.0000 9.5316 1.7594
O 0.0000 4.8038 4.2238
O 0.0000 8.7614 6.2182
O 0.0000 6.9221 2.5544
V 0.0000 3.7746 5.5811
Mg 0.0000 0.9793 3.3891
O 0.0000 2.1943 5.0188
V 0.0000 7.9513 1.1971
O 0.0000 2.9644 0.5600
```

Values from the calculation:
The value obtained for the excess energy over the best structure of this formula in the dataset is 0.0 meV/atom. As for the space-group type: No. 12. The total energy comes out at -7.189 eV per atom.

Question: total energy of number 1 (MgV8O16)?
Answer: -7.568 eV per atom